Entry 1:
18
Lattice="5.393 -2.667 0.000 5.393 2.667 0.000 -4.322 0.000 11.813" Properties=species:S:1:pos:R:3 comment="Li2B2Se5, optimized geometry, DFT GGA-PBE" energy_ev_per_atom=-4.3621 formation_enthalpy_0k_ev_per_atom=-0.774 pbc="T T T"
Li -0.520 0.103 5.108
Li -2.681 -0.103 11.014
Li 9.145 0.103 0.799
Li 6.984 -0.103 6.705
B 2.612 0.277 3.457
B 0.451 -0.277 9.363
B 6.013 0.277 2.450
B 3.852 -0.277 8.356
Se -0.122 0.954 7.803
Se 4.312 1.357 2.953
Se 0.627 0.878 11.087
Se 3.676 0.878 6.631
Se 2.039 -0.954 1.896
Se 4.425 0.954 9.916
Se 2.788 -0.878 5.181
Se 5.837 -0.878 0.725
Se 2.152 -1.357 8.859
Se 6.586 -0.954 4.010

Entry 2:
32
Lattice="6.840 0.000 0.000 0.000 6.840 0.000 0.000 0.000 8.855" Properties=species:S:1:pos:R:3 comment="LiSi2B, optimized geometry, DFT GGA-PBE" energy_ev_per_atom=-5.0030 formation_enthalpy_0k_ev_per_atom=-0.143 pbc="T T T"
Li 0.027 5.130 0.681
Li 1.710 3.448 3.746
Li 1.710 6.813 3.746
Li 3.393 5.130 0.681
Li 3.448 1.710 8.174
Li 5.130 0.027 5.108
Li 5.130 3.393 5.108
Li 6.813 1.710 8.174
Si 0.456 5.130 5.492
Si 0.476 1.710 5.636
Si 1.710 0.476 1.208
Si 1.710 2.945 1.208
Si 1.710 3.876 7.790
Si 1.710 6.384 7.790
Si 2.945 1.710 5.636
Si 2.964 5.130 5.492
Si 3.876 1.710 3.363
Si 3.896 5.130 3.219
Si 5.130 0.456 1.064
Si 5.130 2.964 1.064
Si 5.130 3.896 7.646
Si 5.130 6.365 7.646
Si 6.365 5.130 3.219
Si 6.384 1.710 3.363
B 0.056 3.477 6.641
B 0.056 6.784 6.641
B 3.364 3.477 6.641
B 3.364 6.784 6.641
B 3.477 0.056 2.214
B 3.477 3.364 2.214
B 6.784 0.056 2.214
B 6.784 3.364 2.214

Entry 3:
3
Lattice="0.000 2.786 2.786 2.786 0.000 2.786 2.786 2.786 0.000" Properties=species:S:1:pos:R:3 comment="LiSnB, optimized geometry, DFT GGA-PBE" energy_ev_per_atom=-4.1033 formation_enthalpy_0k_ev_per_atom=0.096 total_magnetization_mub_per_fu=0.0 pbc="T T T"
Li 0.000 0.000 0.000
Sn 2.786 2.786 2.786
B 1.393 1.393 1.393

Entry 4:
3
Lattice="3.244 0.000 0.000 -1.622 2.809 0.000 0.000 0.000 3.716" Properties=species:S:1:pos:R:3 comment="LuB2, optimized geometry, DFT GGA-PBE" energy_ev_per_atom=-6.6514 formation_enthalpy_0k_ev_per_atom=-0.692 pbc="T T T"
Lu 0.000 0.000 0.000
B 0.000 1.873 1.858
B 1.622 0.936 1.858

Entry 5:
13
Lattice="0.000 3.729 3.729 3.729 0.000 3.729 3.729 3.729 0.000" Properties=species:S:1:pos:R:3 comment="LuB12, optimized geometry, DFT GGA-PBE" energy_ev_per_atom=-6.7597 formation_enthalpy_0k_ev_per_atom=-0.246 pbc="T T T"
Lu 0.000 0.000 0.000
B 3.729 2.468 2.468
B 4.990 3.729 2.468
B 4.990 2.468 3.729
B 2.468 3.729 2.468
B 3.729 4.990 2.468
B 2.468 2.468 3.729
B 4.990 4.990 3.729
B 3.729 2.468 4.990
B 4.990 3.729 4.990
B 2.468 4.990 3.729
B 2.468 3.729 4.990
B 3.729 4.990 4.990

Entry 6:
29
Lattice="0.000 5.307 5.307 5.307 0.000 5.307 5.307 5.307 0.000" Properties=species:S:1:pos:R:3 comment="Lu2Ni21B6, optimized geometry, DFT GGA-PBE" energy_ev_per_atom=-6.2481 formation_enthalpy_0k_ev_per_atom=-0.369 total_magnetization_mub_per_fu=0.0 pbc="T T T"
Lu 2.654 2.654 2.654
Lu 7.961 7.961 7.961
Ni 0.000 0.000 0.000
Ni 1.789 1.789 0.000
Ni 3.518 3.518 0.000
Ni 1.789 0.000 1.789
Ni 5.307 3.518 1.789
Ni 3.518 0.000 3.518
Ni 5.307 1.789 3.518
Ni 6.504 4.110 4.110
Ni 0.000 1.789 1.789
Ni 3.518 5.307 1.789
Ni 3.518 1.789 5.307
Ni 4.110 4.110 4.110
Ni 6.504 6.504 4.110
Ni 6.504 4.110 6.504
Ni 4.110 6.504 4.110
Ni 4.110 4.110 6.504
Ni 6.504 6.504 6.504
Ni 0.000 3.518 3.518
Ni 1.789 5.307 3.518
Ni 1.789 3.518 5.307
Ni 4.110 6.504 6.504
B 5.307 5.307 2.889
B 5.307 2.889 5.307
B 7.726 5.307 5.307
B 2.889 5.307 5.307
B 5.307 7.726 5.307
B 5.307 5.307 7.726

Entry 7:
12
Lattice="4.933 0.000 0.000 -2.466 4.272 0.000 0.000 0.000 6.936" Properties=species:S:1:pos:R:3 comment="LuNi4B, optimized geometry, DFT GGA-PBE" energy_ev_per_atom=-6.2364 formation_enthalpy_0k_ev_per_atom=-0.516 total_magnetization_mub_per_fu=0.0 pbc="T T T"
Lu 0.000 0.000 0.000
Lu 0.000 0.000 3.468
Ni -1.233 2.136 1.437
Ni -1.233 2.136 5.499
Ni 0.000 2.848 3.468
Ni 2.466 0.000 1.437
Ni 2.466 0.000 5.499
Ni 1.233 2.136 1.437
Ni 1.233 2.136 5.499
Ni 2.466 1.424 3.468
B 0.000 2.848 0.000
B 2.466 1.424 0.000

Entry 8:
24
Lattice="4.983 0.000 0.000 -2.491 4.315 0.000 0.000 0.000 14.141" Properties=species:S:1:pos:R:3 comment="Lu3Ni7B2, optimized geometry, DFT GGA-PBE" energy_ev_per_atom=-6.1752 formation_enthalpy_0k_ev_per_atom=-0.560 pbc="T T T"
Lu 0.000 2.877 0.463
Lu 0.000 2.877 3.535
Lu 0.000 2.877 6.607
Lu 2.491 1.438 7.534
Lu 2.491 1.438 10.606
Lu 2.491 1.438 13.678
Ni 0.000 0.000 0.000
Ni 0.000 0.000 7.071
Ni 0.000 1.432 9.163
Ni 0.000 1.432 12.049
Ni -1.252 3.600 9.163
Ni -1.252 3.600 12.049
Ni 1.240 0.716 2.092
Ni 1.240 0.716 4.979
Ni 1.252 3.600 9.163
Ni 1.252 3.600 12.049
Ni 3.743 0.716 2.092
Ni 3.743 0.716 4.979
Ni 2.491 2.884 2.092
Ni 2.491 2.884 4.979
B 0.000 0.000 3.535
B 0.000 0.000 10.606
B 0.000 2.877 10.606
B 2.491 1.438 3.535